No. 1
# CoP4O11 GGA+U relaxed
data_CoP4O11
_chemical_formula_sum 'Co4 P16 O44'
_cell_length_a 5.4309
_cell_length_b 22.5623
_cell_length_c 7.5227
_cell_angle_alpha 90.00
_cell_angle_beta 110.06
_cell_angle_gamma 90.00
_space_group_name_H-M_alt 'P 1'
_space_group_IT_number 1
_space_group_name_Hall 'P 1'
loop_
_atom_site_label
_atom_site_type_symbol
_atom_site_fract_x
_atom_site_fract_y
_atom_site_fract_z
Co1 Co 0.0039 0.1141 0.3703
Co2 Co 0.0039 0.3859 0.8703
Co3 Co 0.9961 0.6141 0.1297
Co4 Co 0.9961 0.8859 0.6297
P1 P 0.3086 0.0721 0.8136
P2 P 0.3086 0.4279 0.3136
P3 P 0.3232 0.6782 0.5546
P4 P 0.3232 0.8218 0.0546
P5 P 0.3987 0.6956 0.9693
P6 P 0.3987 0.8044 0.4693
P7 P 0.4058 0.0354 0.2082
P8 P 0.4058 0.4646 0.7082
P9 P 0.5942 0.5354 0.2918
P10 P 0.5942 0.9646 0.7918
P11 P 0.6013 0.1956 0.5307
P12 P 0.6013 0.3044 0.0307
P13 P 0.6768 0.1782 0.9454
P14 P 0.6768 0.3218 0.4454
P15 P 0.6914 0.5721 0.6864
P16 P 0.6914 0.9279 0.1864
O1 O 0.0753 0.0762 0.6419
O2 O 0.0753 0.4238 0.1419
O3 O 0.0884 0.6552 0.4057
O4 O 0.0884 0.8448 0.9057
O5 O 0.1924 0.6822 0.0515
O6 O 0.1924 0.8178 0.5515
O7 O 0.2218 0.0452 0.3119
O8 O 0.2218 0.4548 0.8119
O9 O 0.2350 0.0455 0.9821
O10 O 0.2350 0.4545 0.4821
O11 O 0.2589 0.6934 0.7379
O12 O 0.2589 0.8066 0.2379
O13 O 0.3358 0.5650 0.2488
O14 O 0.3358 0.9350 0.7488
O15 O 0.3462 0.1645 0.4796
O16 O 0.3462 0.3355 0.9796
O17 O 0.4288 0.1356 0.8843
O18 O 0.4288 0.3644 0.3843
O19 O 0.4467 0.5369 0.7013
O20 O 0.4467 0.9631 0.2013
O21 O 0.4617 0.7334 0.4999
O22 O 0.4617 0.7666 0.9999
O23 O 0.5383 0.2334 0.0001
O24 O 0.5383 0.2666 0.5001
O25 O 0.5533 0.0369 0.7987
O26 O 0.5533 0.4631 0.2987
O27 O 0.5712 0.6356 0.6157
O28 O 0.5712 0.8644 0.1157
O29 O 0.6538 0.6645 0.0204
O30 O 0.6538 0.8355 0.5204
O31 O 0.6642 0.0650 0.2512
O32 O 0.6642 0.4350 0.7512
O33 O 0.7411 0.1934 0.7621
O34 O 0.7411 0.3066 0.2621
O35 O 0.7650 0.5455 0.5179
O36 O 0.7650 0.9545 0.0179
O37 O 0.7782 0.5452 0.1881
O38 O 0.7782 0.9548 0.6881
O39 O 0.8076 0.1822 0.4485
O40 O 0.8076 0.3178 0.9485
O41 O 0.9116 0.1552 0.0943
O42 O 0.9116 0.3448 0.5943
O43 O 0.9247 0.5762 0.8581
O44 O 0.9247 0.9238 0.3581
# Crystal system = monoclinic
# Electronic total energy = -451.6 eV/cell
# Calculated formation energy = -2431 meV per atom
# Energy with MP2020 corrections = -7.631 eV per atom

No. 2
# Li8Mn7SbP12O48 GGA+U relaxed
data_Li8Mn7SbP12O48
_chemical_formula_sum 'Li8 Mn7 Sb1 P12 O48'
_cell_length_a 8.5430
_cell_length_b 8.7626
_cell_length_c 12.3019
_cell_angle_alpha 89.85
_cell_angle_beta 89.30
_cell_angle_gamma 89.65
_space_group_name_H-M_alt 'P 1'
_space_group_IT_number 1
_space_group_name_Hall 'P 1'
loop_
_atom_site_label
_atom_site_type_symbol
_atom_site_fract_x
_atom_site_fract_y
_atom_site_fract_z
Li1 Li 0.0000 0.0000 0.0000
Li2 Li 0.0011 0.9421 0.6363
Li3 Li 0.4383 0.4432 0.6482
Li4 Li 0.4427 0.4967 0.0019
Li5 Li 0.4995 0.9294 0.5012
Li6 Li 0.5040 0.9937 0.1304
Li7 Li 0.9412 0.4969 0.1356
Li8 Li 0.9440 0.4422 0.5059
Mn1 Mn 0.4704 0.7549 0.7094
Mn2 Mn 0.4724 0.1806 0.9288
Mn3 Mn 0.4744 0.6847 0.2053
Mn4 Mn 0.9686 0.6811 0.9315
Mn5 Mn 0.9724 0.1841 0.2048
Mn6 Mn 0.9725 0.2554 0.7088
Mn7 Mn 0.9746 0.7596 0.4313
Sb1 Sb 0.4682 0.2600 0.4320
P1 P 0.1159 0.6170 0.6769
P2 P 0.1193 0.3244 0.9650
P3 P 0.1824 0.4814 0.3167
P4 P 0.2569 0.9741 0.3157
P5 P 0.3223 0.1148 0.6690
P6 P 0.3235 0.8239 0.9665
P7 P 0.6172 0.6140 0.4631
P8 P 0.6200 0.3224 0.1715
P9 P 0.6896 0.4661 0.8203
P10 P 0.7551 0.9631 0.8178
P11 P 0.8264 0.8211 0.1676
P12 P 0.8305 0.1138 0.4621
O1 O 0.0473 0.2082 0.0471
O2 O 0.0470 0.7380 0.6011
O3 O 0.0647 0.4893 0.9965
O4 O 0.0662 0.4553 0.6416
O5 O 0.0689 0.2768 0.8525
O6 O 0.0697 0.6535 0.7957
O7 O 0.0770 0.3952 0.2396
O8 O 0.0806 0.5672 0.4025
O9 O 0.1407 0.8231 0.9765
O10 O 0.1417 0.1199 0.6572
O11 O 0.1643 0.0871 0.2470
O12 O 0.1664 0.8681 0.3906
O13 O 0.2741 0.3656 0.3908
O14 O 0.2863 0.5842 0.2473
O15 O 0.2995 0.6178 0.6684
O16 O 0.3015 0.3225 0.9747
O17 O 0.3676 0.0620 0.3989
O18 O 0.3704 0.8918 0.2373
O19 O 0.3764 0.1653 0.7787
O20 O 0.3759 0.7769 0.8525
O21 O 0.3759 0.9869 0.9969
O22 O 0.3788 0.9562 0.6334
O23 O 0.3912 0.2412 0.5863
O24 O 0.3955 0.7047 0.0460
O25 O 0.5427 0.7271 0.5435
O26 O 0.5500 0.1985 0.1016
O27 O 0.5556 0.4483 0.4993
O28 O 0.5635 0.4829 0.1382
O29 O 0.5663 0.6501 0.3480
O30 O 0.5743 0.2911 0.2933
O31 O 0.5834 0.5511 0.7396
O32 O 0.5836 0.3791 0.9024
O33 O 0.6426 0.1130 0.4739
O34 O 0.6434 0.8188 0.1585
O35 O 0.6588 0.8578 0.7454
O36 O 0.6604 0.0718 0.8914
O37 O 0.7834 0.5738 0.8937
O38 O 0.7863 0.3585 0.7467
O39 O 0.7963 0.6076 0.4741
O40 O 0.8014 0.3229 0.1649
O41 O 0.8615 0.8746 0.9009
O42 O 0.8658 0.0485 0.7395
O43 O 0.8742 0.1538 0.3458
O44 O 0.8771 0.9824 0.1342
O45 O 0.8779 0.7746 0.2802
O46 O 0.8795 0.9490 0.4945
O47 O 0.8937 0.2318 0.5411
O48 O 0.8969 0.6994 0.0868
# Crystal system = triclinic
# Electronic total energy = -530.2 eV/cell
# Calculated formation energy = -2485 meV per atom
# Energy with MP2020 corrections = -7.564 eV per atom

No. 3
# SrFe2Se4O12 GGA+U relaxed
data_SrFe2Se4O12
_chemical_formula_sum 'Sr2 Fe4 Se8 O24'
_cell_length_a 9.0586
_cell_length_b 9.0585
_cell_length_c 9.1126
_cell_angle_alpha 110.08
_cell_angle_beta 112.32
_cell_angle_gamma 105.81
_space_group_name_H-M_alt 'P 1'
_space_group_IT_number 1
_space_group_name_Hall 'P 1'
loop_
_atom_site_label
_atom_site_type_symbol
_atom_site_fract_x
_atom_site_fract_y
_atom_site_fract_z
Sr1 Sr 0.7500 0.2500 0.5000
Sr2 Sr 0.2500 0.7500 0.5000
Fe1 Fe 0.7500 0.7500 0.4999
Fe2 Fe 0.2500 0.2500 0.5000
Fe3 Fe 0.5000 0.0000 0.0000
Fe4 Fe 0.0000 0.5000 0.0000
Se1 Se 0.8443 0.9336 0.2777
Se2 Se 0.3442 0.4334 0.2777
Se3 Se 0.6557 0.5664 0.7223
Se4 Se 0.1558 0.0665 0.7223
Se5 Se 0.7042 0.4080 0.1122
Se6 Se 0.2043 0.9079 0.1123
Se7 Se 0.2956 0.5921 0.8877
Se8 Se 0.7958 0.0920 0.8878
O1 O 0.8233 0.5916 0.9148
O2 O 0.3232 0.0914 0.9148
O3 O 0.6767 0.9085 0.0852
O4 O 0.1768 0.4086 0.0852
O5 O 0.6805 0.5702 0.2507
O6 O 0.1799 0.0701 0.2500
O7 O 0.3201 0.4299 0.7500
O8 O 0.8196 0.9298 0.7493
O9 O 0.8093 0.2411 0.8056
O10 O 0.3093 0.7410 0.8054
O11 O 0.0644 0.4961 0.8054
O12 O 0.5645 0.9963 0.8056
O13 O 0.4356 0.0039 0.1946
O14 O 0.9354 0.5037 0.1944
O15 O 0.6907 0.2589 0.1944
O16 O 0.1907 0.7590 0.1946
O17 O 0.5185 0.3365 0.5898
O18 O 0.0185 0.8367 0.5898
O19 O 0.7532 0.5713 0.5898
O20 O 0.2533 0.0713 0.5898
O21 O 0.7469 0.9287 0.4102
O22 O 0.2467 0.4287 0.4102
O23 O 0.9815 0.1635 0.4102
O24 O 0.4815 0.6634 0.4102
# Electronic total energy = -221.6 eV/cell
# Calculated formation energy = -1660 meV per atom
# Energy with MP2020 corrections = -6.502 eV per atom

No. 4
# Ba6Ga2Co11O26 GGA+U relaxed
data_Ba6Ga2Co11O26
_chemical_formula_sum 'Ba6 Ga2 Co11 O26'
_cell_length_a 5.8119
_cell_length_b 5.8119
_cell_length_c 19.2600
_cell_angle_alpha 90.00
_cell_angle_beta 90.00
_cell_angle_gamma 120.00
_space_group_name_H-M_alt 'P 1'
_space_group_IT_number 1
_space_group_name_Hall 'P 1'
loop_
_atom_site_label
_atom_site_type_symbol
_atom_site_fract_x
_atom_site_fract_y
_atom_site_fract_z
Ba1 Ba 0.0000 0.0000 0.1940
Ba2 Ba 0.0000 0.0000 0.8060
Ba3 Ba 0.3333 0.6667 0.3318
Ba4 Ba 0.3333 0.6667 0.5533
Ba5 Ba 0.6667 0.3333 0.4467
Ba6 Ba 0.6667 0.3333 0.6682
Ga1 Ga 0.3333 0.6667 0.1531
Ga2 Ga 0.6667 0.3333 0.8469
Co1 Co 0.0000 0.0000 0.0000
Co2 Co 0.0000 0.0000 0.3732
Co3 Co 0.0000 0.0000 0.5000
Co4 Co 0.0000 0.0000 0.6268
Co5 Co 0.0000 0.5000 0.0000
Co6 Co 0.3333 0.6667 0.7248
Co7 Co 0.3333 0.6667 0.8730
Co8 Co 0.5000 0.0000 0.0000
Co9 Co 0.5000 0.5000 0.0000
Co10 Co 0.6667 0.3333 0.1270
Co11 Co 0.6667 0.3333 0.2752
O1 O 0.0139 0.5070 0.8117
O2 O 0.1466 0.2931 0.4358
O3 O 0.1466 0.8534 0.4358
O4 O 0.1624 0.3247 0.6844
O5 O 0.1624 0.8376 0.6844
O6 O 0.1733 0.3466 0.9408
O7 O 0.1733 0.8267 0.9408
O8 O 0.2931 0.1466 0.5642
O9 O 0.3247 0.1624 0.3156
O10 O 0.3333 0.6667 0.0574
O11 O 0.3466 0.1733 0.0592
O12 O 0.4930 0.5070 0.8117
O13 O 0.4930 0.9861 0.8117
O14 O 0.5070 0.0139 0.1883
O15 O 0.5070 0.4930 0.1883
O16 O 0.6534 0.8267 0.9408
O17 O 0.6667 0.3333 0.9426
O18 O 0.6753 0.8376 0.6844
O19 O 0.7069 0.8534 0.4358
O20 O 0.8267 0.1733 0.0592
O21 O 0.8267 0.6534 0.0592
O22 O 0.8376 0.1624 0.3156
O23 O 0.8376 0.6753 0.3156
O24 O 0.8534 0.1466 0.5642
O25 O 0.8534 0.7069 0.5642
O26 O 0.9861 0.4930 0.1883
# Crystal system = trigonal
# Electronic total energy = -271.7 eV/cell
# Calculated formation energy = -1847 meV per atom
# Energy with MP2020 corrections = -6.834 eV per atom

No. 5
# Na3Li3Fe2P2C2O14 GGA+U relaxed
data_Na3Li3Fe2P2C2O14
_chemical_formula_sum 'Na6 Li6 Fe4 P4 C4 O28'
_cell_length_a 6.6418
_cell_length_b 8.7741
_cell_length_c 10.1978
_cell_angle_alpha 91.87
_cell_angle_beta 90.00
_cell_angle_gamma 90.52
_space_group_name_H-M_alt 'P 1'
_space_group_IT_number 1
_space_group_name_Hall 'P 1'
loop_
_atom_site_label
_atom_site_type_symbol
_atom_site_fract_x
_atom_site_fract_y
_atom_site_fract_z
Na1 Na 0.0000 0.0000 0.0000
Na2 Na 0.0003 0.0016 0.4980
Na3 Na 0.2535 0.8251 0.7411
Na4 Na 0.2549 0.3386 0.4947
Na5 Na 0.2552 0.3439 0.9953
Na6 Na 0.7520 0.8246 0.7400
Li1 Li 0.2289 0.8098 0.2387
Li2 Li 0.5180 0.1783 0.7456
Li3 Li 0.5195 0.1750 0.2436
Li4 Li 0.7341 0.3563 0.5018
Li5 Li 0.7359 0.3585 0.0015
Li6 Li 0.7755 0.8106 0.2376
Fe1 Fe 0.5020 0.7274 0.5001
Fe2 Fe 0.5028 0.7356 0.0166
Fe3 Fe 0.9970 0.4326 0.2309
Fe4 Fe 0.9971 0.4363 0.7264
P1 P 0.5051 0.4926 0.7644
P2 P 0.5067 0.4931 0.2683
P3 P 0.9969 0.6670 0.9785
P4 P 0.9973 0.6714 0.4662
C1 C 0.9997 0.1323 0.2538
C2 C 0.5114 0.0381 0.4806
C3 C 0.5128 0.0396 0.9830
C4 C 0.9989 0.1442 0.7566
O1 O 0.0018 0.6526 0.8258
O2 O 0.0017 0.6566 0.3116
O3 O 0.0034 0.2048 0.6416
O4 O 0.0033 0.9841 0.2584
O5 O 0.0039 0.1996 0.1418
O6 O 0.0052 0.9978 0.7664
O7 O 0.1875 0.7603 0.5136
O8 O 0.1887 0.7558 0.0293
O9 O 0.3123 0.3954 0.7341
O10 O 0.3124 0.4012 0.2336
O11 O 0.4989 0.9296 0.3900
O12 O 0.5001 0.6486 0.6981
O13 O 0.5021 0.9343 0.8891
O14 O 0.5051 0.0040 0.6040
O15 O 0.5054 0.6585 0.2162
O16 O 0.5065 0.9993 0.1045
O17 O 0.5274 0.5176 0.9162
O18 O 0.5294 0.1785 0.4451
O19 O 0.5288 0.1815 0.9517
O20 O 0.5303 0.5067 0.4209
O21 O 0.6797 0.3937 0.2093
O22 O 0.6814 0.3916 0.7106
O23 O 0.8159 0.7681 0.0246
O24 O 0.8159 0.7708 0.5089
O25 O 0.9827 0.5054 0.0334
O26 O 0.9855 0.5092 0.5225
O27 O 0.9877 0.2333 0.8607
O28 O 0.9913 0.2179 0.3602
# Crystal system = triclinic
# Electronic total energy = -341.7 eV/cell
# Calculated formation energy = -2300 meV per atom
# Energy with MP2020 corrections = -7.115 eV per atom

No. 6
# LiFeF4 GGA+U relaxed
data_LiFeF4
_chemical_formula_sum 'Li2 Fe2 F8'
_cell_length_a 6.7122
_cell_length_b 6.7122
_cell_length_c 6.6093
_cell_angle_alpha 107.59
_cell_angle_beta 107.59
_cell_angle_gamma 33.98
_space_group_name_H-M_alt 'P 1'
_space_group_IT_number 1
_space_group_name_Hall 'P 1'
loop_
_atom_site_label
_atom_site_type_symbol
_atom_site_fract_x
_atom_site_fract_y
_atom_site_fract_z
Li1 Li 0.1922 0.1922 0.2999
Li2 Li 0.8078 0.8078 0.7001
Fe1 Fe 0.1090 0.1090 0.7066
Fe2 Fe 0.8910 0.8910 0.2934
F1 F 0.0531 0.0531 0.3727
F2 F 0.1416 0.1416 0.9987
F3 F 0.2502 0.2502 0.6573
F4 F 0.3820 0.3820 0.3086
F5 F 0.6180 0.6180 0.6914
F6 F 0.7498 0.7498 0.3427
F7 F 0.8584 0.8584 0.0013
F8 F 0.9469 0.9469 0.6273
# Crystal system = monoclinic
# Electronic total energy = -61.6 eV/cell
# Calculated formation energy = -2809 meV per atom
# Energy with MP2020 corrections = -5.815 eV per atom

No. 7
# Na3CoO3 GGA+U relaxed
data_Na3CoO3
_chemical_formula_sum 'Na6 Co2 O6'
_cell_length_a 5.7882
_cell_length_b 5.9424
_cell_length_c 6.4046
_cell_angle_alpha 64.56
_cell_angle_beta 89.28
_cell_angle_gamma 85.32
_space_group_name_H-M_alt 'P 1'
_space_group_IT_number 1
_space_group_name_Hall 'P 1'
loop_
_atom_site_label
_atom_site_type_symbol
_atom_site_fract_x
_atom_site_fract_y
_atom_site_fract_z
Na1 Na 0.0630 0.2435 0.2557
Na2 Na 0.3564 0.7338 0.0223
Na3 Na 0.4373 0.7311 0.5547
Na4 Na 0.5627 0.2689 0.4453
Na5 Na 0.6436 0.2662 0.9777
Na6 Na 0.9370 0.7565 0.7443
Co1 Co 0.1408 0.3097 0.6882
Co2 Co 0.8592 0.6903 0.3118
O1 O 0.1913 0.5774 0.3745
O2 O 0.2432 0.0302 0.6560
O3 O 0.2540 0.4021 0.8997
O4 O 0.7460 0.5979 0.1003
O5 O 0.7568 0.9698 0.3440
O6 O 0.8087 0.4226 0.6255
# Crystal system = triclinic
# Electronic total energy = -66.5 eV/cell
# Calculated formation energy = -1574 meV per atom
# Energy with MP2020 corrections = -5.277 eV per atom

No. 8
# Sr2FeIrO6 GGA+U relaxed
data_Sr2FeIrO6
_chemical_formula_sum 'Sr2 Fe1 Ir1 O6'
_cell_length_a 5.6133
_cell_length_b 5.6138
_cell_length_c 5.6192
_cell_angle_alpha 60.43
_cell_angle_beta 60.12
_cell_angle_gamma 60.25
_space_group_name_H-M_alt 'P 1'
_space_group_IT_number 1
_space_group_name_Hall 'P 1'
loop_
_atom_site_label
_atom_site_type_symbol
_atom_site_fract_x
_atom_site_fract_y
_atom_site_fract_z
Sr1 Sr 0.2501 0.2503 0.2496
Sr2 Sr 0.7499 0.7497 0.7504
Fe1 Fe 0.0000 0.0000 0.0000
Ir1 Ir 0.5000 0.5000 0.5000
O1 O 0.2205 0.2834 0.7659
O2 O 0.2563 0.7898 0.7065
O3 O 0.2784 0.7383 0.2256
O4 O 0.7216 0.2617 0.7744
O5 O 0.7437 0.2102 0.2935
O6 O 0.7795 0.7166 0.2341
# Crystal system = triclinic
# Electronic total energy = -66.2 eV/cell
# Calculated formation energy = -2222 meV per atom
# Energy with MP2020 corrections = -7.260 eV per atom